Below is an optimized crystal structure of LaMg6Mn, with properties calculated at the GGA-PBE level.

Properties
**Energy above the lowest structure with this stoichiometry**: 6 meV/atom

Cell lengths 5.1766, 6.5161, 11.5244 Å; angles 90.00, 90.00, 90.00 degrees
Positions (direct):
La  0.5000  0.5000  0.1670
La  0.5000  0.0000  0.6670
Mg  0.5000  0.2553  0.4186
Mg  0.5000  0.7447  0.4186
Mg  0.0000  0.7651  0.0833
Mg  0.0000  0.2349  0.0833
Mg  0.0000  0.0000  0.3280
Mg  0.0000  0.5000  0.3387
Mg  0.5000  0.7553  0.9186
Mg  0.5000  0.2447  0.9186
Mg  0.0000  0.2651  0.5833
Mg  0.0000  0.7349  0.5833
Mg  0.0000  0.5000  0.8280
Mg  0.0000  0.0000  0.8387
Mn  0.5000  0.0000  0.1624
Mn  0.5000  0.5000  0.6624